VASP calculation (PBE-GGA) on a relaxed structure of Co3W.

Geometry as POSCAR:
```
Co3W
1.0
3.602 0.000 0.000
0.000 3.602 0.000
0.000 0.000 3.602
Co W
3 1
direct
0.500 0.500 0.000
0.500 0.000 0.500
0.000 0.500 0.500
0.000 0.000 0.000
```

Results
As for the calculated formation energy: -0.05 eV per atom. For the density, the calculation gives 12.8 g/cm3. As for the crystal system: cubic.